1 | Below is a relaxed structure of NaLi5Mn2P2C2O14, with properties calculated at the PBE with a Hubbard U level.

Cell: 6.6346 8.6565 9.9859 Å, 91.55 90.08 90.44°
Closest atoms and distances in Å follow each position.
Space group P1 (No. 1)
Unique sites:
Na (0.0000, 0.0000, 0.0000) [1 per cell]  6 O 2.31-2.57
Na (0.2553, 0.8339, 0.2490) [1 per cell]  5 O 2.20-2.45
Li (0.0222, 0.0131, 0.5107) [1 per cell]  4 O 2.05-2.28
Li (0.2590, 0.8300, 0.7487) [1 per cell]  2 O 1.99-2.20
Li (0.4805, 0.0145, 0.5122) [1 per cell]  4 O 2.06-2.26
Li (0.4845, 0.0162, 0.0076) [1 per cell]  4 O 2.04-2.19
Li (0.5177, 0.4881, 0.7428) [1 per cell]  4 O 2.09-2.24
Li (0.5221, 0.4849, 0.2415) [1 per cell]  4 O 2.10-2.20
Li (0.7440, 0.6639, 0.0005) [1 per cell]  3 O 2.02-2.24
Li (0.7515, 0.6658, 0.5011) [1 per cell]  2 O 1.99-2.15
Li (0.9822, 0.4845, 0.2407) [1 per cell]  4 O 2.11-2.23
Li (0.9867, 0.4892, 0.7430) [1 per cell]  4 O 2.10-2.28
Mn (0.2515, 0.3933, 0.0135) [1 per cell]  6 O 2.13-2.29
Mn (0.2525, 0.3975, 0.5139) [1 per cell]  5 O 2.13-2.25
Mn (0.7488, 0.1080, 0.2412) [1 per cell]  5 O 2.11-2.24
Mn (0.7509, 0.1059, 0.7358) [1 per cell]  5 O 2.13-2.26
P (0.2518, 0.1634, 0.2764) [1 per cell]  4 O 1.55-1.57
P (0.2565, 0.1570, 0.7715) [1 per cell]  4 O 1.55-1.56
P (0.7475, 0.3445, 0.9787) [1 per cell]  4 O 1.55-1.57
P (0.7524, 0.3445, 0.4795) [1 per cell]  4 O 1.55-1.57
C (0.2522, 0.7077, 0.4973) [1 per cell]  3 O 1.30
C (0.2605, 0.6967, 0.9849) [1 per cell]  3 O 1.29-1.30
C (0.7501, 0.7917, 0.7589) [1 per cell]  3 O 1.29-1.31
C (0.7515, 0.7921, 0.2607) [1 per cell]  3 O 1.30-1.31
O (0.0630, 0.0722, 0.2274) [1 per cell]  1 P 1.55
O (0.0671, 0.0616, 0.7262) [1 per cell]  1 P 1.56
O (0.2496, 0.6046, 0.8800) [1 per cell]  1 C 1.30
O (0.2502, 0.8567, 0.4815) [1 per cell]  1 C 1.30
O (0.2524, 0.6136, 0.3939) [1 per cell]  1 C 1.30
O (0.2533, 0.3261, 0.7230) [1 per cell]  1 P 1.55
O (0.2534, 0.3341, 0.2305) [1 per cell]  1 P 1.56
O (0.2531, 0.6390, 0.1031) [1 per cell]  1 C 1.29
O (0.2541, 0.6533, 0.6172) [1 per cell]  1 C 1.30
O (0.2566, 0.1661, 0.4333) [1 per cell]  1 P 1.57
O (0.2692, 0.1658, 0.9278) [1 per cell]  1 P 1.56
O (0.2779, 0.8449, 0.9687) [1 per cell]  1 C 1.30
O (0.4345, 0.0710, 0.2207) [1 per cell]  1 P 1.55
O (0.4364, 0.0616, 0.7151) [1 per cell]  1 P 1.55
O (0.5683, 0.4458, 0.0283) [1 per cell]  1 P 1.56
O (0.5689, 0.4385, 0.5320) [1 per cell]  1 P 1.55
O (0.7348, 0.1764, 0.0285) [1 per cell]  1 P 1.55
O (0.7462, 0.8912, 0.8587) [1 per cell]  1 C 1.30
O (0.7485, 0.8919, 0.3602) [1 per cell]  1 C 1.30
O (0.7510, 0.3353, 0.8218) [1 per cell]  1 P 1.57
O (0.7517, 0.3387, 0.3226) [1 per cell]  1 P 1.57
O (0.7522, 0.6444, 0.7846) [1 per cell]  1 C 1.31
O (0.7517, 0.8388, 0.6371) [1 per cell]  1 C 1.29
O (0.7525, 0.1734, 0.5251) [1 per cell]  1 P 1.56
O (0.7529, 0.6449, 0.2861) [1 per cell]  1 C 1.31
O (0.7525, 0.8385, 0.1381) [1 per cell]  1 C 1.30
O (0.9360, 0.4340, 0.0323) [1 per cell]  1 P 1.55
O (0.9373, 0.4388, 0.5325) [1 per cell]  1 P 1.55

---

2 | Below is a relaxed structure of NaLi5Mn2P2C2O14, with properties calculated at the PBE with a Hubbard U level.

Cell: 6.6972 8.6314 10.0097 Å, 87.52 89.92 89.16°
Closest atoms and distances in Å follow each position.
Space group P-1 (No. 2)
Unique sites:
Na (0.0019, 0.2474, 0.1254) [2 per cell]  5 O 2.32-2.46
Li (0.0270, 0.7344, 0.3818) [2 per cell]  4 O 2.06-2.31
Li (0.2650, 0.9116, 0.6261) [2 per cell]  2 O 1.96-2.01
Li (0.2693, 0.9134, 0.1290) [2 per cell]  3 O 1.99-2.17
Li (0.4703, 0.7302, 0.3831) [2 per cell]  3 O 2.04-2.12
Li (0.4709, 0.7285, 0.8858) [2 per cell]  4 O 2.02-2.17
Mn (0.2532, 0.3498, 0.3906) [2 per cell]  5 O 2.13-2.21
Mn (0.2542, 0.3549, 0.8857) [2 per cell]  5 O 2.12-2.20
P (0.2529, 0.5920, 0.6418) [2 per cell]  4 O 1.56
P (0.2538, 0.5925, 0.1458) [2 per cell]  4 O 1.54-1.57
C (0.2517, 0.0373, 0.3649) [2 per cell]  3 O 1.29-1.31
C (0.2603, 0.0432, 0.8601) [2 per cell]  3 O 1.30
O (0.0609, 0.6792, 0.0997) [2 per cell]  1 P 1.54
O (0.0646, 0.6885, 0.5970) [2 per cell]  1 P 1.56
O (0.2480, 0.4226, 0.5948) [2 per cell]  1 P 1.56
O (0.2475, 0.8919, 0.3340) [2 per cell]  1 C 1.31
O (0.2497, 0.0786, 0.9847) [2 per cell]  1 C 1.30
O (0.2531, 0.0779, 0.4873) [2 per cell]  1 C 1.29
O (0.2530, 0.1515, 0.7656) [2 per cell]  1 C 1.30
O (0.2556, 0.1431, 0.2678) [2 per cell]  1 C 1.30
O (0.2585, 0.5794, 0.3025) [2 per cell]  1 P 1.57
O (0.2687, 0.5820, 0.7975) [2 per cell]  1 P 1.56
O (0.2710, 0.4255, 0.0941) [2 per cell]  1 P 1.55
O (0.2784, 0.8996, 0.8265) [2 per cell]  1 C 1.30
O (0.4273, 0.6978, 0.0938) [2 per cell]  1 P 1.56
O (0.4305, 0.6875, 0.5831) [2 per cell]  1 P 1.56

---

Which structure above is the least stable one? 1 is the least stable one.